Compound: Sc3GaC
Source: the Materials Project
Functional: PBE-GGA
Structure: optimized geometry

ΔE_f in kJ/mol of atoms: -64.83
Total DFT energy (no corrections) in eV per atom: -6.923

Lattice parameters (Å, degrees): 4.4832 4.4832 4.4832 90.00 90.00 90.00
Sites, in units of the cell vectors:
Sc 0.5000 0.0000 0.5000
Sc 0.0000 0.5000 0.5000
Sc 0.5000 0.5000 0.0000
Ga 0.0000 0.0000 0.0000
C 0.5000 0.5000 0.5000